VASP calculation (PBE) on a geometry-optimized Ba3GaSb3 structure.

Output
calculated volume	278	Å³/f.u.
energy of formation from the pure elements	-0.987	eV per atom

Geometry as extended XYZ:
```
56
Lattice="-4.188 -2.777 5.215 4.478 -13.139 -3.402 16.163 1.887 13.985" Properties=species:S:1:pos:R:3 pbc="T T T"
Sb 14.538 -2.296 13.475
Sb 7.098 -11.129 6.807
Sb 17.200 -8.585 11.247
Sb 1.914 -11.734 2.322
Sb 6.519 -1.077 12.018
Sb -0.748 -5.445 4.550
Sb 8.603 -7.749 10.510
Sb 13.790 -7.144 14.998
Sb 7.849 -6.280 5.287
Sb 4.747 -13.558 -0.709
Sb 5.587 -14.311 3.704
Sb 6.258 -10.419 2.402
Sb 2.763 -8.130 6.134
Sb 4.362 -3.622 3.677
Sb 13.690 -5.900 9.663
Sb 10.866 0.282 12.093
Sb 12.017 -9.190 6.762
Sb 9.934 -12.952 3.778
Sb 9.355 -2.901 8.990
Sb 10.194 -3.611 13.395
Sb 11.706 -0.472 16.506
Sb 2.663 -6.886 0.799
Sb 12.090 -10.408 12.120
Sb 4.436 -4.840 9.035
Ga 4.246 -4.641 1.093
Ga 11.932 -1.516 13.958
Ga 12.206 -9.389 14.704
Ga 9.129 -1.844 11.533
Ga 9.403 -9.716 12.278
Ga 7.324 -12.186 4.264
Ga 7.050 -4.314 3.519
Ga 4.520 -12.514 1.839
Ba 15.426 -10.201 13.953
Ba 3.371 -0.228 4.365
Ba 7.121 -4.588 11.363
Ba 15.996 -5.459 12.651
Ba 4.997 -7.203 3.426
Ba 1.026 -3.829 1.844
Ba 11.455 -6.827 12.371
Ba 12.734 -3.933 16.219
Ba 3.719 -10.097 -0.422
Ba 3.662 -1.456 9.907
Ba -1.948 -2.111 5.053
Ba 0.456 -8.571 3.145
Ba 14.290 -9.467 9.451
Ba 10.386 -6.114 7.797
Ba 12.470 -2.619 10.630
Ba 9.332 -9.442 4.434
Ba 6.066 -7.916 8.000
Ba 18.401 -11.919 10.744
Ba 13.082 -13.802 11.432
Ba 3.982 -11.410 5.166
Ba 6.639 -3.173 6.701
Ba 2.162 -4.563 6.346
Ba 12.790 -12.574 5.890
Ba 9.813 -10.856 9.096
```